(1)
DFT (PBE with a Hubbard U) results for a relaxed Li8Fe7P12WO48 crystal.

Values from the calculation:
The calculation puts the volume at 932 Å³ per cell. The value obtained for the formation energy is -2464 meV per atom. The total magnetization comes out at 36.00 Bohr magnetons per cell. The mass density comes out at 3.15 g cm⁻³. As for the symmetry: P1.

a = 8.678 Å, b = 8.798 Å, c = 12.205 Å
α = 90.27°, β = 90.10°, γ = 90.05°
Positions (direct):
P (0.104, 0.394, 0.147)
O (0.557, 0.857, 0.929)
Li (0.219, 0.779, 0.820)
O (0.834, 0.766, 0.817)
O (0.347, 0.766, 0.680)
O (0.926, 0.397, 0.157)
O (0.444, 0.142, 0.070)
O (0.142, 0.166, 0.583)
O (0.175, 0.515, 0.226)
O (0.328, 0.484, 0.725)
O (0.351, 0.662, 0.921)
Fe (0.750, 0.036, 0.384)
P (0.044, 0.245, 0.496)
O (0.649, 0.164, 0.921)
P (0.604, 0.392, 0.350)
O (0.162, 0.267, 0.820)
Li (0.716, 0.726, 0.315)
O (0.557, 0.642, 0.071)
Fe (0.251, 0.042, 0.113)
O (0.837, 0.732, 0.180)
O (0.666, 0.234, 0.322)
P (0.898, 0.612, 0.853)
P (0.895, 0.892, 0.147)
P (0.389, 0.604, 0.646)
Fe (0.253, 0.457, 0.891)
O (0.052, 0.854, 0.575)
O (0.351, 0.837, 0.079)
O (0.927, 0.104, 0.844)
Li (0.281, 0.277, 0.684)
O (0.826, 0.013, 0.227)
Li (0.788, 0.274, 0.828)
P (0.394, 0.895, 0.354)
O (0.845, 0.932, 0.031)
O (0.935, 0.358, 0.568)
Li (0.217, 0.723, 0.181)
P (0.964, 0.752, 0.497)
O (0.073, 0.895, 0.156)
O (0.073, 0.605, 0.840)
P (0.602, 0.103, 0.644)
O (0.841, 0.559, 0.964)
O (0.162, 0.234, 0.181)
O (0.343, 0.934, 0.472)
O (0.350, 0.567, 0.527)
O (0.665, 0.274, 0.674)
Fe (0.746, 0.962, 0.892)
P (0.540, 0.251, 0.001)
Li (0.786, 0.222, 0.180)
P (0.461, 0.750, 0.000)
O (0.427, 0.112, 0.657)
O (0.940, 0.141, 0.431)
O (0.428, 0.393, 0.349)
O (0.156, 0.066, 0.969)
O (0.326, 0.015, 0.275)
Fe (0.750, 0.540, 0.112)
O (0.572, 0.895, 0.345)
O (0.655, 0.071, 0.528)
O (0.850, 0.653, 0.578)
Fe (0.247, 0.961, 0.614)
O (0.336, 0.734, 0.321)
O (0.174, 0.985, 0.773)
O (0.648, 0.338, 0.081)
Fe (0.249, 0.543, 0.383)
Li (0.718, 0.790, 0.684)
O (0.677, 0.994, 0.725)
O (0.446, 0.358, 0.929)
O (0.660, 0.429, 0.475)
O (0.847, 0.834, 0.424)
W (0.753, 0.462, 0.614)
P (0.106, 0.106, 0.852)
O (0.055, 0.638, 0.431)
O (0.146, 0.340, 0.422)
O (0.577, 0.592, 0.654)
O (0.676, 0.517, 0.281)
O (0.154, 0.434, 0.031)
O (0.828, 0.487, 0.766)
Li (0.281, 0.222, 0.317)

(2)
DFT (PBE with a Hubbard U) results for a relaxed Na4RhW5O26 crystal.

Values from the calculation:
The calculation puts the volume at 1233 Å³ per cell. The value obtained for the formation energy is -1135 meV per atom. The total magnetization comes out at 22.00 Bohr magnetons per cell. The mass density comes out at 4.12 g cm⁻³. As for the symmetry: P-1.

a = 10.056 Å, b = 11.991 Å, c = 12.413 Å
α = 88.56°, β = 114.23°, γ = 113.64°
Positions (direct):
O (0.364, 0.199, 0.198)
O (0.372, 0.827, 0.667)
O (0.971, 0.392, 0.820)
O (0.368, 0.665, 0.819)
O (0.934, 0.950, 0.782)
O (0.029, 0.608, 0.180)
O (0.068, 0.227, 0.051)
O (0.485, 0.734, 0.070)
O (0.774, 0.704, 0.710)
O (0.511, 0.909, 0.903)
W (0.433, 0.028, 0.226)
W (0.567, 0.972, 0.774)
O (0.498, 0.563, 0.725)
Na (0.002, 0.401, 0.612)
O (0.216, 0.934, 0.105)
O (0.932, 0.773, 0.949)
O (0.170, 0.235, 0.703)
O (0.660, 0.973, 0.663)
O (0.760, 0.165, 0.593)
W (0.726, 0.647, 0.845)
O (0.234, 0.486, 0.136)
O (0.224, 0.430, 0.832)
W (0.269, 0.156, 0.346)
O (0.636, 0.801, 0.802)
O (0.502, 0.726, 0.570)
W (0.438, 0.227, 0.036)
O (0.654, 0.656, 0.966)
O (0.926, 0.574, 0.618)
O (0.950, 0.796, 0.398)
W (0.562, 0.773, 0.964)
W (0.389, 0.670, 0.670)
Na (0.001, 0.836, 0.164)
Na (0.999, 0.164, 0.836)
O (0.489, 0.091, 0.097)
O (0.498, 0.087, 0.739)
Rh (0.096, 0.928, 0.931)
Na (0.414, 0.702, 0.224)
O (0.515, 0.266, 0.930)
O (0.187, 0.567, 0.565)
Na (0.586, 0.298, 0.776)
O (0.632, 0.335, 0.181)
O (0.776, 0.570, 0.168)
Rh (0.904, 0.072, 0.069)
O (0.502, 0.437, 0.275)
O (0.824, 0.140, 0.134)
O (0.170, 0.697, 0.242)
O (0.780, 0.894, 0.061)
W (0.731, 0.844, 0.654)
O (0.502, 0.913, 0.261)
O (0.074, 0.426, 0.382)
O (0.628, 0.173, 0.333)
O (0.220, 0.106, 0.939)
W (0.274, 0.353, 0.155)
Na (0.000, 0.000, 0.500)
O (0.830, 0.765, 0.297)
O (0.346, 0.344, 0.034)
O (0.783, 0.870, 0.533)
O (0.066, 0.050, 0.218)
O (0.498, 0.274, 0.430)
O (0.766, 0.514, 0.864)
O (0.784, 0.066, 0.895)
Na (0.998, 0.599, 0.388)
W (0.611, 0.330, 0.330)
O (0.813, 0.433, 0.435)
O (0.217, 0.130, 0.467)
O (0.830, 0.303, 0.758)
O (0.240, 0.835, 0.407)
O (0.176, 0.860, 0.866)
O (0.226, 0.296, 0.290)
Na (0.000, 0.500, 0.000)
O (0.340, 0.027, 0.337)
O (0.050, 0.204, 0.602)

(3)
DFT (PBE with a Hubbard U) results for a relaxed MgMnO2 crystal.

Values from the calculation:
The calculation puts the volume at 171 Å³ per cell. The value obtained for the formation energy is -2420 meV per atom. The total magnetization comes out at 20.00 Bohr magnetons per cell. The mass density comes out at 4.33 g cm⁻³. As for the symmetry: Pnma.

a = 3.073 Å, b = 5.333 Å, c = 10.424 Å
α = 90.00°, β = 90.00°, γ = 90.00°
Positions (direct):
O (0.250, 0.765, 0.994)
Mn (0.250, 0.419, 0.879)
Mg (0.250, 0.421, 0.622)
O (0.250, 0.088, 0.754)
O (0.750, 0.588, 0.746)
Mn (0.750, 0.581, 0.121)
O (0.250, 0.412, 0.254)
Mn (0.750, 0.919, 0.621)
O (0.750, 0.912, 0.246)
Mg (0.750, 0.921, 0.878)
Mn (0.250, 0.081, 0.379)
O (0.250, 0.735, 0.494)
O (0.750, 0.235, 0.006)
O (0.750, 0.265, 0.506)
Mg (0.250, 0.079, 0.122)
Mg (0.750, 0.579, 0.378)

(4)
DFT (PBE with a Hubbard U) results for a relaxed Sr3Co2Cl2O4 crystal.

Values from the calculation:
The calculation puts the volume at 375 Å³ per cell. The value obtained for the formation energy is -2223 meV per atom. The total magnetization comes out at 12.00 Bohr magnetons per cell. The mass density comes out at 4.56 g cm⁻³. As for the symmetry: C2/m.

a = 4.220 Å, b = 11.684 Å, c = 7.852 Å
α = 99.59°, β = 90.01°, γ = 79.61°
Positions (direct):
O (0.424, 0.152, 0.033)
Cl (0.294, 0.413, 0.847)
O (0.921, 0.158, 0.289)
O (0.576, 0.848, 0.967)
Sr (0.852, 0.297, 0.579)
Sr (0.000, 0.000, 0.500)
O (0.078, 0.844, 0.211)
O (0.079, 0.842, 0.711)
Cl (0.696, 0.608, 0.649)
Sr (0.000, 0.000, 0.000)
O (0.575, 0.850, 0.457)
Co (0.574, 0.852, 0.212)
O (0.425, 0.150, 0.543)
Sr (0.148, 0.703, 0.421)
O (0.922, 0.156, 0.789)
Co (0.426, 0.148, 0.788)
Co (0.416, 0.168, 0.292)
Sr (0.850, 0.300, 0.070)
Sr (0.150, 0.700, 0.930)
Cl (0.304, 0.392, 0.351)
Co (0.584, 0.832, 0.708)
Cl (0.706, 0.587, 0.153)

Copy entry 1 word for word.
DFT (PBE with a Hubbard U) results for a relaxed Li8Fe7P12WO48 crystal.

Values from the calculation:
The calculation puts the volume at 932 Å³ per cell. The value obtained for the formation energy is -2464 meV per atom. The total magnetization comes out at 36.00 Bohr magnetons per cell. The mass density comes out at 3.15 g cm⁻³. As for the symmetry: P1.

a = 8.678 Å, b = 8.798 Å, c = 12.205 Å
α = 90.27°, β = 90.10°, γ = 90.05°
Positions (direct):
P (0.104, 0.394, 0.147)
O (0.557, 0.857, 0.929)
Li (0.219, 0.779, 0.820)
O (0.834, 0.766, 0.817)
O (0.347, 0.766, 0.680)
O (0.926, 0.397, 0.157)
O (0.444, 0.142, 0.070)
O (0.142, 0.166, 0.583)
O (0.175, 0.515, 0.226)
O (0.328, 0.484, 0.725)
O (0.351, 0.662, 0.921)
Fe (0.750, 0.036, 0.384)
P (0.044, 0.245, 0.496)
O (0.649, 0.164, 0.921)
P (0.604, 0.392, 0.350)
O (0.162, 0.267, 0.820)
Li (0.716, 0.726, 0.315)
O (0.557, 0.642, 0.071)
Fe (0.251, 0.042, 0.113)
O (0.837, 0.732, 0.180)
O (0.666, 0.234, 0.322)
P (0.898, 0.612, 0.853)
P (0.895, 0.892, 0.147)
P (0.389, 0.604, 0.646)
Fe (0.253, 0.457, 0.891)
O (0.052, 0.854, 0.575)
O (0.351, 0.837, 0.079)
O (0.927, 0.104, 0.844)
Li (0.281, 0.277, 0.684)
O (0.826, 0.013, 0.227)
Li (0.788, 0.274, 0.828)
P (0.394, 0.895, 0.354)
O (0.845, 0.932, 0.031)
O (0.935, 0.358, 0.568)
Li (0.217, 0.723, 0.181)
P (0.964, 0.752, 0.497)
O (0.073, 0.895, 0.156)
O (0.073, 0.605, 0.840)
P (0.602, 0.103, 0.644)
O (0.841, 0.559, 0.964)
O (0.162, 0.234, 0.181)
O (0.343, 0.934, 0.472)
O (0.350, 0.567, 0.527)
O (0.665, 0.274, 0.674)
Fe (0.746, 0.962, 0.892)
P (0.540, 0.251, 0.001)
Li (0.786, 0.222, 0.180)
P (0.461, 0.750, 0.000)
O (0.427, 0.112, 0.657)
O (0.940, 0.141, 0.431)
O (0.428, 0.393, 0.349)
O (0.156, 0.066, 0.969)
O (0.326, 0.015, 0.275)
Fe (0.750, 0.540, 0.112)
O (0.572, 0.895, 0.345)
O (0.655, 0.071, 0.528)
O (0.850, 0.653, 0.578)
Fe (0.247, 0.961, 0.614)
O (0.336, 0.734, 0.321)
O (0.174, 0.985, 0.773)
O (0.648, 0.338, 0.081)
Fe (0.249, 0.543, 0.383)
Li (0.718, 0.790, 0.684)
O (0.677, 0.994, 0.725)
O (0.446, 0.358, 0.929)
O (0.660, 0.429, 0.475)
O (0.847, 0.834, 0.424)
W (0.753, 0.462, 0.614)
P (0.106, 0.106, 0.852)
O (0.055, 0.638, 0.431)
O (0.146, 0.340, 0.422)
O (0.577, 0.592, 0.654)
O (0.676, 0.517, 0.281)
O (0.154, 0.434, 0.031)
O (0.828, 0.487, 0.766)
Li (0.281, 0.222, 0.317)